The following is a DFT calculation (PBE) of a geometry-optimized TaAgO3 structure.

Structure (POSCAR):
```
TaAgO3
1.0
2.788 1.610 4.644
-2.788 1.610 4.644
0.000 -3.219 4.644
Ta Ag O
2 2 6
Direct
0.000 0.000 0.000 Ta
0.500 0.500 0.500 Ta
0.250 0.250 0.250 Ag
0.750 0.750 0.750 Ag
0.193 0.750 0.307 O
0.250 0.693 0.807 O
0.307 0.193 0.750 O
0.693 0.807 0.250 O
0.750 0.307 0.193 O
0.807 0.250 0.693 O
```

Its symmetry is R-3c (167). For the MP2020-corrected energy, the calculation gives -8.316 eV/atom. For the formation energy, the calculation gives -2.41 eV/atom. The calculation puts the total energy at -7.904 eV per atom.